[1]
Compound: Li3Cr2P5O16
Source: the Materials Project
Functional: GGA+U
Structure: relaxed

a = 7.0952 Å, b = 5.1374 Å, c = 17.7851 Å
α = 88.24°, β = 90.00°, γ = 90.00°
With the nearest neighbours (Å) after each atom.
Element x y z (fractional)
Li 0.3285 0.7355 0.0371  4 O 2.01-2.25
Li 0.6715 0.2645 0.9629  4 O 2.01-2.25
Li 0.0239 0.5000 0.7500  4 O 2.05-2.12
Li 0.6715 0.7355 0.5371  4 O 2.01-2.25
Li 0.3285 0.2645 0.4629  4 O 2.01-2.25
Li 0.9761 0.5000 0.2500  4 O 2.05-2.12
Cr 0.1674 0.2612 0.9125  4 O 2.05-2.17
Cr 0.1674 0.7388 0.5875  4 O 2.05-2.17
Cr 0.8326 0.2612 0.4125  4 O 2.05-2.17
Cr 0.8326 0.7388 0.0875  4 O 2.05-2.17
P 0.8695 0.2202 0.5919  4 O 1.51-1.65
P 0.4668 0.2723 0.6238  4 O 1.50-1.61
P 0.2461 0.0000 0.7500  4 O 1.51-1.59
P 0.4668 0.7277 0.8762  4 O 1.50-1.61
P 0.1305 0.2202 0.0919  4 O 1.51-1.65
P 0.5332 0.2723 0.1238  4 O 1.50-1.61
P 0.7539 0.0000 0.2500  4 O 1.51-1.59
P 0.8695 0.7798 0.9081  4 O 1.51-1.65
P 0.1305 0.7798 0.4081  4 O 1.51-1.65
P 0.5332 0.7277 0.3762  4 O 1.50-1.61
O 0.8059 0.3785 0.5209  1 P 1.55
O 0.9080 0.0661 0.9261  1 P 1.54
O 0.3930 0.9001 0.9364  1 P 1.50
O 0.8059 0.6215 0.9791  1 P 1.55
O 0.1941 0.3785 0.0209  1 P 1.55
O 0.6070 0.0999 0.0636  1 P 1.50
O 0.0920 0.9339 0.0739  1 P 1.54
O 0.5595 0.5635 0.1094  1 P 1.52
O 0.9863 0.3562 0.1396  1 P 1.51
O 0.3194 0.2112 0.1457  2 P 1.60-1.65
O 0.8633 0.8265 0.1989  1 P 1.51
O 0.6173 0.1943 0.2053  2 P 1.59-1.61
O 0.6173 0.8057 0.2947  2 P 1.59-1.61
O 0.8633 0.1735 0.3011  1 P 1.51
O 0.3194 0.7888 0.3543  2 P 1.60-1.65
O 0.9863 0.6438 0.3604  1 P 1.51
O 0.5595 0.4365 0.3906  1 P 1.52
O 0.0137 0.6438 0.8604  1 P 1.51
O 0.6070 0.9001 0.4364  1 P 1.50
O 0.1941 0.6215 0.4791  1 P 1.55
O 0.0920 0.0661 0.4261  1 P 1.54
O 0.3930 0.0999 0.5636  1 P 1.50
O 0.9080 0.9339 0.5739  1 P 1.54
O 0.4405 0.5635 0.6094  1 P 1.52
O 0.0137 0.3562 0.6396  1 P 1.51
O 0.6806 0.2112 0.6457  2 P 1.60-1.65
O 0.1367 0.8265 0.6989  1 P 1.51
O 0.3827 0.1943 0.7053  2 P 1.59-1.61
O 0.3827 0.8057 0.7947  2 P 1.59-1.61
O 0.1367 0.1735 0.8011  1 P 1.51
O 0.6806 0.7888 0.8543  2 P 1.60-1.65
O 0.4405 0.4365 0.8906  1 P 1.52

## Properties
E_tot = -7.0779 eV/atom
Formation energy from the elements = -2606 meV/atom

---

[2]
Compound: FeO2
Source: the Materials Project
Functional: GGA+U
Structure: relaxed

a = 5.9181 Å, b = 5.9181 Å, c = 5.9181 Å
α = 120.11°, β = 118.98°, γ = 90.79°
With the nearest neighbours (Å) after each atom.
Element x y z (fractional)
Fe 0.5000 0.0000 0.0000  6 O 1.89-1.98
Fe 0.5000 0.5000 0.0000  6 O 1.99-2.02
Fe 0.0000 0.5000 0.5000  6 O 1.99-2.02
Fe 0.5000 0.5000 0.5000  6 O 1.89-1.98
O 0.2729 0.7489 0.9760  3 Fe 1.89-2.02
O 0.7082 0.7386 0.9696  3 Fe 1.98-1.99
O 0.2729 0.2970 0.5240  3 Fe 1.89-2.02
O 0.2689 0.7386 0.5304  3 Fe 1.98-1.99
O 0.7271 0.7030 0.4760  3 Fe 1.89-2.02
O 0.7311 0.2614 0.4696  3 Fe 1.98-1.99
O 0.2918 0.2614 0.0304  3 Fe 1.98-1.99
O 0.7271 0.2511 0.0240  3 Fe 1.89-2.02

## Properties
E_tot = -6.0764 eV/atom
Formation energy from the elements = -1164 meV/atom

---

[3]
Compound: Sr4FeMoO8
Source: the Materials Project
Functional: GGA+U
Structure: relaxed

a = 6.9908 Å, b = 6.9908 Å, c = 5.6619 Å
α = 90.00°, β = 90.00°, γ = 132.85°
With the nearest neighbours (Å) after each atom.
Element x y z (fractional)
Sr 0.3518 0.6482 0.0000  1 O 2.44
Sr 0.8538 0.1462 0.5000  5 O 2.47-2.74
Sr 0.1462 0.8538 0.5000  5 O 2.47-2.74
Sr 0.6482 0.3518 0.0000  1 O 2.44
Fe 0.0000 0.0000 0.0000  6 O 2.01-2.07
Mo 0.5000 0.5000 0.5000  6 O 1.97-2.07
O 0.1612 0.8388 0.0000  1 Fe 2.07
O 0.6613 0.3387 0.5000  1 Mo 2.07
O 0.3387 0.6613 0.5000  1 Mo 2.07
O 0.8388 0.1612 0.0000  1 Fe 2.07
O 0.2543 0.2543 0.2509  1 Mo 1.97, 1 Fe 2.01
O 0.7457 0.7457 0.7491  1 Mo 1.97, 1 Fe 2.01
O 0.2543 0.2543 0.7491  1 Mo 1.97, 1 Fe 2.01
O 0.7457 0.7457 0.2509  1 Mo 1.97, 1 Fe 2.01

## Properties
E_tot = -6.6139 eV/atom
Formation energy from the elements = -2707 meV/atom

---

[4]
Compound: SrLaNiRuO6
Source: the Materials Project
Functional: GGA+U
Structure: relaxed

a = 5.6745 Å, b = 5.5892 Å, c = 9.6807 Å
α = 54.76°, β = 90.00°, γ = 90.00°
With the nearest neighbours (Å) after each atom.
Element x y z (fractional)
Sr 0.2107 0.7573 0.2500  7 O 2.48-2.77
Sr 0.7893 0.7573 0.7500  7 O 2.48-2.77
La 0.7027 0.2376 0.2519  6 O 2.41-2.65
La 0.2973 0.2376 0.7519  6 O 2.41-2.65
Ni 0.2479 0.9993 0.5003  6 O 2.06-2.10
Ni 0.7521 0.9993 0.0003  6 O 2.06-2.10
Ru 0.2476 0.4998 0.0001  6 O 1.97-1.99
Ru 0.7524 0.4998 0.5001  6 O 1.97-1.99
O 0.2340 0.6593 0.7558  1 Ru 1.99, 1 Ni 2.08
O 0.0477 0.8275 0.9578  1 Ru 1.99, 1 Ni 2.09
O 0.0364 0.2578 0.5435  1 Ru 1.99, 1 Ni 2.10
O 0.9636 0.2578 0.0435  1 Ru 1.99, 1 Ni 2.10
O 0.9523 0.8275 0.4578  1 Ru 1.99, 1 Ni 2.09
O 0.7660 0.6593 0.2558  1 Ru 1.99, 1 Ni 2.08
O 0.7294 0.3237 0.7443  1 Ru 1.97, 1 Ni 2.06
O 0.5394 0.1869 0.5363  1 Ru 1.98, 1 Ni 2.09
O 0.5234 0.7508 0.9601  1 Ru 1.99, 1 Ni 2.09
O 0.4766 0.7508 0.4601  1 Ru 1.99, 1 Ni 2.09
O 0.4606 0.1869 0.0363  1 Ru 1.98, 1 Ni 2.09
O 0.2706 0.3237 0.2443  1 Ru 1.97, 1 Ni 2.06

## Properties
E_tot = -6.8987 eV/atom
Formation energy from the elements = -2428 meV/atom

---

[5]
Compound: K4Na4VMo7O20
Source: the Materials Project
Functional: GGA+U
Structure: relaxed

a = 11.4751 Å, b = 11.7774 Å, c = 17.3540 Å
α = 109.88°, β = 109.36°, γ = 89.88°
With the nearest neighbours (Å) after each atom.
Element x y z (fractional)
K 0.3038 0.0658 0.1078  7 O 2.64-2.85
K 0.3032 0.5624 0.1070  7 O 2.58-2.84
K 0.8035 0.0636 0.1089  7 O 2.63-2.85
K 0.8030 0.5625 0.1079  7 O 2.67-2.80
K 0.2009 0.9359 0.3957  7 O 2.55-2.84
K 0.1906 0.9238 0.8790  7 O 2.56-2.75
K 0.6987 0.4376 0.3972  7 O 2.52-2.81
K 0.6888 0.4280 0.8795  7 O 2.58-2.83
K 0.6984 0.9337 0.3954  7 O 2.54-2.82
K 0.0567 0.2948 0.1089  7 O 2.63-2.79
K 0.0516 0.7914 0.1062  7 O 2.57-2.79
K 0.5537 0.2924 0.1062  7 O 2.56-2.85
K 0.5527 0.7932 0.1043  7 O 2.56-2.81
K 0.4502 0.7107 0.3979  7 O 2.56-2.84
K 0.4375 0.7027 0.8771  7 O 2.56-2.85
K 0.9415 0.7021 0.8792  6 O 2.56-2.75
Na 0.2982 0.0712 0.6076  6 O 2.38-2.63
Na 0.3079 0.5688 0.6083  6 O 2.37-2.62
Na 0.8038 0.0689 0.6062  3 O 2.29-2.44
Na 0.8100 0.5688 0.6054  5 O 2.34-2.57
Na 0.2011 0.4388 0.4061  5 O 2.38-2.60
Na 0.1993 0.4312 0.8890  6 O 2.43-2.60
Na 0.6979 0.9309 0.8936  6 O 2.45-2.59
Na 0.0583 0.2890 0.6084  5 O 2.34-2.62
Na 0.0580 0.7849 0.6070  5 O 2.33-2.59
Na 0.5548 0.2896 0.6050  6 O 2.35-2.60
Na 0.5520 0.7843 0.6054  6 O 2.37-2.59
Na 0.4503 0.2166 0.4060  6 O 2.38-2.66
Na 0.4423 0.2105 0.8912  7 O 2.46-2.70
Na 0.9502 0.2181 0.4051  6 O 2.38-2.61
Na 0.9463 0.2125 0.8931  7 O 2.44-2.69
Na 0.9507 0.7165 0.4046  5 O 2.39-2.60
V 0.1054 0.5797 0.7434  4 O 1.79-1.88
V 0.5980 0.5845 0.7432  4 O 1.77-1.89
V 0.3501 0.4070 0.7445  4 O 1.78-1.90
V 0.3472 0.9144 0.7441  4 O 1.78-1.89
Mo 0.0036 0.9982 0.9942  6 O 2.05-2.21
Mo 0.0128 0.0027 0.5053  6 O 2.05-2.21
Mo 0.0031 0.4947 0.9934  6 O 2.04-2.27
Mo 0.0147 0.5020 0.5059  6 O 2.04-2.21
Mo 0.5006 0.9969 0.9910  6 O 2.05-2.22
Mo 0.5134 0.0065 0.5085  6 O 2.07-2.21
Mo 0.5011 0.4956 0.9917  6 O 2.05-2.20
Mo 0.5134 0.5026 0.5093  6 O 2.05-2.21
Mo 0.2534 0.2479 0.9932  6 O 2.05-2.24
Mo 0.2620 0.2543 0.5064  6 O 2.05-2.20
Mo 0.2511 0.7449 0.9927  6 O 2.06-2.24
Mo 0.2624 0.7534 0.5083  6 O 2.05-2.17
Mo 0.7530 0.2445 0.9913  6 O 2.05-2.25
Mo 0.7653 0.2515 0.5060  6 O 2.05-2.19
Mo 0.7511 0.7462 0.9919  6 O 2.06-2.24
Mo 0.7659 0.7535 0.5085  6 O 2.05-2.20
Mo 0.0982 0.1066 0.2580  4 O 1.92-2.02
Mo 0.0948 0.0908 0.7466  4 O 1.91-2.01
Mo 0.0967 0.5939 0.2575  4 O 1.92-2.04
Mo 0.5976 0.1000 0.2546  4 O 1.92-2.02
Mo 0.5887 0.0836 0.7451  4 O 1.90-2.01
Mo 0.5987 0.5925 0.2510  4 O 1.92-2.01
Mo 0.3463 0.4038 0.2585  4 O 1.92-2.03
Mo 0.3481 0.9140 0.2520  4 O 1.92-2.03
Mo 0.8543 0.4063 0.2545  4 O 1.92-2.03
Mo 0.8523 0.4078 0.7433  4 O 1.90-1.98
Mo 0.8507 0.9102 0.2539  4 O 1.92-2.03
Mo 0.8378 0.9120 0.7458  4 O 1.90-2.02
O 0.1263 0.1247 0.4891  2 Mo 2.06-2.09
O 0.1205 0.1195 0.9816  2 Mo 2.06-2.08
O 0.1282 0.6191 0.4892  2 Mo 2.05-2.07
O 0.1220 0.6130 0.9816  2 Mo 2.06
O 0.6287 0.1256 0.4929  2 Mo 2.06-2.07
O 0.6193 0.1121 0.9751  2 Mo 2.07
O 0.6324 0.6256 0.4996  2 Mo 2.08
O 0.6211 0.6180 0.9837  2 Mo 2.06
O 0.1318 0.3758 0.0023  2 Mo 2.04-2.05
O 0.1466 0.3871 0.5213  2 Mo 2.04-2.05
O 0.1322 0.8761 0.0057  2 Mo 2.06-2.07
O 0.1429 0.8830 0.5202  2 Mo 2.05-2.07
O 0.6291 0.3718 0.0005  2 Mo 2.07
O 0.6475 0.3867 0.5260  2 Mo 2.07-2.10
O 0.6303 0.8766 0.9994  2 Mo 2.06-2.07
O 0.6483 0.8895 0.5277  2 Mo 2.09-2.10
O 0.3815 0.1248 0.4935  2 Mo 2.05-2.07
O 0.3725 0.1178 0.9810  2 Mo 2.05
O 0.3784 0.6188 0.4965  2 Mo 2.07
O 0.3683 0.6126 0.9805  2 Mo 2.06
O 0.8813 0.1194 0.4896  2 Mo 2.05
O 0.8712 0.1144 0.9793  2 Mo 2.05
O 0.8830 0.6222 0.4927  2 Mo 2.05-2.08
O 0.8710 0.6150 0.9826  2 Mo 2.07-2.08
O 0.3817 0.3770 0.0016  2 Mo 2.05
O 0.3960 0.3860 0.5229  2 Mo 2.05-2.07
O 0.3801 0.8771 0.0029  2 Mo 2.07-2.08
O 0.3981 0.8926 0.5289  2 Mo 2.08-2.12
O 0.8840 0.3760 0.0046  2 Mo 2.06
O 0.8972 0.3849 0.5219  2 Mo 2.07-2.08
O 0.8780 0.8780 0.0010  2 Mo 2.06-2.08
O 0.8973 0.8867 0.5244  2 Mo 2.06-2.08
O 0.0740 0.0894 0.1380  1 Mo 1.95
O 0.0909 0.1112 0.6404  2 Mo 1.92-2.12
O 0.0769 0.5866 0.1412  1 Mo 1.93
O 0.0925 0.6039 0.6449  1 V 1.79
O 0.5738 0.0874 0.1355  1 Mo 1.95
O 0.5901 0.1160 0.6452  1 Mo 1.90
O 0.5751 0.5888 0.1348  1 Mo 1.93
O 0.5814 0.6108 0.6459  1 V 1.77
O 0.4488 0.3928 0.3675  1 Mo 1.92
O 0.4310 0.4010 0.8506  1 V 1.79
O 0.4448 0.9082 0.3652  1 Mo 1.93
O 0.4283 0.9093 0.8500  1 V 1.78
O 0.9539 0.3926 0.3647  1 Mo 1.94
O 0.9400 0.3933 0.8541  1 Mo 1.92
O 0.9443 0.8922 0.3637  1 Mo 1.94
O 0.9416 0.9052 0.8557  2 Mo 1.91-2.14
O 0.3256 0.3019 0.1388  1 Mo 1.95
O 0.3291 0.2857 0.6442  1 V 1.78
O 0.3294 0.7988 0.1384  1 Mo 1.92
O 0.3358 0.7908 0.6459  1 V 1.79
O 0.8316 0.2977 0.1378  1 Mo 1.92
O 0.8445 0.2741 0.6412  1 Mo 1.90
O 0.8302 0.8010 0.1376  1 Mo 1.92
O 0.8444 0.7828 0.6457  1 Mo 1.90
O 0.2062 0.2244 0.3660  1 Mo 1.92
O 0.1948 0.2127 0.8547  1 Mo 1.91
O 0.2032 0.7094 0.3680  1 Mo 1.92
O 0.1787 0.6903 0.8512  1 V 1.79
O 0.7093 0.2095 0.3648  1 Mo 1.92
O 0.6977 0.1998 0.8533  2 Mo 1.91-2.13
O 0.7007 0.7041 0.3657  1 Mo 1.93
O 0.6764 0.6964 0.8502  1 V 1.80
O 0.4412 0.0717 0.2679  2 Mo 1.93-2.03
O 0.4181 0.0603 0.7459  1 V 1.89, 1 Mo 1.98
O 0.4400 0.5459 0.2536  2 Mo 1.92-2.03
O 0.4359 0.5363 0.7358  2 V 1.89
O 0.9426 0.0688 0.2699  2 Mo 1.93-2.03
O 0.9256 0.0617 0.7476  2 Mo 1.98-2.02
O 0.9375 0.5667 0.2677  2 Mo 1.93-2.03
O 0.9400 0.5437 0.7329  1 V 1.88, 1 Mo 1.98
O 0.1887 0.4492 0.2691  2 Mo 1.93-2.04
O 0.1884 0.4419 0.7444  2 V 1.88-1.90
O 0.1857 0.9563 0.2514  2 Mo 1.93-2.02
O 0.1821 0.9410 0.7341  1 V 1.88, 1 Mo 2.01
O 0.6917 0.4484 0.2531  2 Mo 1.92-2.01
O 0.6810 0.4454 0.7339  1 V 1.88, 1 Mo 1.98
O 0.6873 0.9520 0.2513  2 Mo 1.93-2.02
O 0.6666 0.9312 0.7468  2 Mo 1.98-2.01

## Properties
E_tot = -6.2351 eV/atom
Formation energy from the elements = -1906 meV/atom

---

[6]
Compound: Tb2MnCrO6
Source: the Materials Project
Functional: GGA+U
Structure: relaxed

a = 5.7504 Å, b = 5.3818 Å, c = 9.1876 Å
α = 54.72°, β = 90.00°, γ = 90.00°
With the nearest neighbours (Å) after each atom.
Element x y z (fractional)
Tb 0.5715 0.7307 0.7504  6 O 2.28-2.53
Tb 0.0715 0.2693 0.7496  6 O 2.28-2.53
Tb 0.4285 0.2693 0.2496  6 O 2.28-2.53
Tb 0.9285 0.7307 0.2504  6 O 2.28-2.53
Mn 0.5000 0.0000 0.0000  6 O 1.94-2.14
Mn 0.0000 0.0000 0.5000  6 O 1.94-2.14
Cr 0.5000 0.5000 0.5000  6 O 2.00-2.06
Cr 0.0000 0.5000 0.0000  6 O 2.00-2.06
O 0.8137 0.2540 0.9427  1 Cr 2.00, 1 Mn 2.14
O 0.3137 0.7460 0.5573  1 Cr 2.00, 1 Mn 2.14
O 0.1951 0.3649 0.4462  1 Mn 2.06, 1 Cr 2.06
O 0.6951 0.6351 0.0538  1 Mn 2.06, 1 Cr 2.06
O 0.1863 0.7460 0.0573  1 Cr 2.00, 1 Mn 2.14
O 0.6863 0.2540 0.4427  1 Cr 2.00, 1 Mn 2.14
O 0.8049 0.6351 0.5538  1 Mn 2.06, 1 Cr 2.06
O 0.3049 0.3649 0.9462  1 Mn 2.06, 1 Cr 2.06
O 0.9602 0.8674 0.7448  1 Mn 1.94, 1 Cr 2.03
O 0.4602 0.1326 0.7552  1 Mn 1.94, 1 Cr 2.03
O 0.0398 0.1326 0.2552  1 Mn 1.94, 1 Cr 2.03
O 0.5398 0.8674 0.2448  1 Mn 1.94, 1 Cr 2.03

## Properties
E_tot = -8.1018 eV/atom
Formation energy from the elements = -3104 meV/atom